# Na6Hf4Zr4Si7S5O48, optimized geometry, DFT PBE
data_Na6Hf4Zr4Si7S5O48
_cell_length_a 9.019
_cell_length_b 15.720
_cell_length_c 23.354
_cell_angle_alpha 90.00
_cell_angle_beta 89.89
_cell_angle_gamma 89.95
_space_group_name_H-M_alt 'P 1'
_space_group_IT_number 1
_space_group_name_Hall 'P 1'
loop_
_atom_site_label
_atom_site_type_symbol
_atom_site_fract_x
_atom_site_fract_y
_atom_site_fract_z
Na1 Na 0.000 0.000 0.000
Na2 Na 0.001 0.002 0.496
Na3 Na 0.003 0.341 0.163
Na4 Na 0.147 0.837 0.413
Na5 Na 0.347 0.336 0.920
Na6 Na 0.493 0.501 0.495
Na7 Na 0.493 0.841 0.661
Na8 Na 0.496 0.501 0.003
Na9 Na 0.498 0.158 0.339
Na10 Na 0.505 0.158 0.834
Na11 Na 0.505 0.837 0.175
Na12 Na 0.630 0.334 0.420
Na13 Na 0.647 0.670 0.085
Na14 Na 0.851 0.169 0.582
Na15 Na 0.868 0.835 0.922
Na16 Na 0.982 0.336 0.671
Na17 Na 0.994 0.666 0.329
Na18 Na 0.999 0.660 0.841
Hf1 Hf 0.002 0.336 0.320
Hf2 Hf 0.015 0.338 0.023
Hf3 Hf 0.481 0.839 0.521
Hf4 Hf 0.486 0.837 0.309
Hf5 Hf 0.495 0.837 0.821
Hf6 Hf 0.498 0.168 0.188
Hf7 Hf 0.512 0.496 0.648
Hf8 Hf 0.516 0.165 0.685
Hf9 Hf 0.981 0.671 0.188
Hf10 Hf 0.989 0.991 0.150
Hf11 Hf 0.998 0.669 0.687
Hf12 Hf 0.999 0.336 0.813
Zr1 Zr 0.005 0.669 0.478
Zr2 Zr 0.490 0.167 0.981
Zr3 Zr 0.498 0.510 0.358
Zr4 Zr 0.501 0.836 0.017
Zr5 Zr 0.504 0.501 0.147
Zr6 Zr 0.505 0.510 0.856
Zr7 Zr 0.506 0.166 0.477
Zr8 Zr 0.992 0.001 0.646
Zr9 Zr 0.992 0.666 0.979
Zr10 Zr 0.993 0.336 0.515
Zr11 Zr 0.994 0.003 0.352
Zr12 Zr 0.997 0.010 0.859
Si1 Si 0.139 0.193 0.918
Si2 Si 0.141 0.853 0.251
Si3 Si 0.142 0.480 0.916
Si4 Si 0.144 0.813 0.585
Si5 Si 0.206 0.834 0.918
Si6 Si 0.290 0.334 0.418
Si7 Si 0.352 0.980 0.416
Si8 Si 0.355 0.313 0.085
Si9 Si 0.360 0.693 0.418
Si10 Si 0.640 0.019 0.583
Si11 Si 0.641 0.983 0.917
Si12 Si 0.642 0.648 0.251
Si13 Si 0.642 0.690 0.918
Si14 Si 0.645 0.315 0.583
Si15 Si 0.703 0.003 0.251
Si16 Si 0.795 0.502 0.751
Si17 Si 0.851 0.816 0.082
Si18 Si 0.854 0.148 0.750
Si19 Si 0.854 0.482 0.416
Si20 Si 0.857 0.186 0.417
Si21 Si 0.858 0.521 0.085
S1 S 0.143 0.149 0.249
S2 S 0.145 0.524 0.586
S3 S 0.205 0.500 0.250
S4 S 0.210 0.169 0.586
S5 S 0.287 0.669 0.085
S6 S 0.291 0.001 0.750
S7 S 0.351 0.024 0.086
S8 S 0.353 0.648 0.749
S9 S 0.354 0.356 0.750
S10 S 0.646 0.354 0.251
S11 S 0.707 0.667 0.585
S12 S 0.710 0.334 0.918
S13 S 0.784 0.835 0.418
S14 S 0.789 0.168 0.085
S15 S 0.850 0.854 0.751
O1 O 0.065 0.236 0.974
O2 O 0.069 0.433 0.860
O3 O 0.069 0.769 0.528
O4 O 0.071 0.897 0.309
O5 O 0.072 0.758 0.242
O6 O 0.073 0.908 0.594
O7 O 0.076 0.097 0.912
O8 O 0.076 0.235 0.255
O9 O 0.076 0.574 0.924
O10 O 0.077 0.566 0.637
O11 O 0.078 0.439 0.582
O12 O 0.080 0.108 0.197
O13 O 0.097 0.916 0.908
O14 O 0.099 0.751 0.923
O15 O 0.103 0.752 0.640
O16 O 0.106 0.916 0.196
O17 O 0.108 0.422 0.255
O18 O 0.110 0.245 0.582
O19 O 0.111 0.092 0.591
O20 O 0.113 0.577 0.244
O21 O 0.116 0.253 0.862
O22 O 0.117 0.575 0.534
O23 O 0.120 0.097 0.301
O24 O 0.120 0.418 0.972
O25 O 0.170 0.983 0.411
O26 O 0.174 0.319 0.080
O27 O 0.175 0.686 0.426
O28 O 0.184 0.321 0.361
O29 O 0.187 0.351 0.475
O30 O 0.188 0.019 0.092
O31 O 0.188 0.657 0.743
O32 O 0.190 0.349 0.754
O33 O 0.196 0.679 0.137
O34 O 0.198 0.656 0.033
O35 O 0.198 0.988 0.699
O36 O 0.200 0.011 0.802
O37 O 0.297 0.509 0.302
O38 O 0.298 0.157 0.534
O39 O 0.299 0.486 0.199
O40 O 0.302 0.179 0.638
O41 O 0.308 0.158 0.242
O42 O 0.308 0.517 0.594
O43 O 0.309 0.850 0.974
O44 O 0.312 0.821 0.861
O45 O 0.321 0.847 0.255
O46 O 0.323 0.187 0.925
O47 O 0.324 0.819 0.581
O48 O 0.325 0.481 0.907
O49 O 0.376 0.596 0.801
O50 O 0.378 0.919 0.473
O51 O 0.380 0.753 0.363
O52 O 0.383 0.075 0.034
O53 O 0.383 0.079 0.744
O54 O 0.385 0.411 0.700
O55 O 0.386 0.592 0.090
O56 O 0.386 0.744 0.080
O57 O 0.389 0.924 0.755
O58 O 0.394 0.252 0.139
O59 O 0.396 0.251 0.423
O60 O 0.399 0.416 0.409
O61 O 0.415 0.605 0.698
O62 O 0.417 0.270 0.742
O63 O 0.417 0.394 0.803
O64 O 0.417 0.939 0.081
O65 O 0.418 0.066 0.137
O66 O 0.421 0.074 0.425
O67 O 0.421 0.733 0.755
O68 O 0.422 0.596 0.413
O69 O 0.424 0.408 0.092
O70 O 0.425 0.270 0.026
O71 O 0.427 0.934 0.361
O72 O 0.430 0.735 0.476
O73 O 0.567 0.595 0.911
O74 O 0.568 0.410 0.593
O75 O 0.568 0.937 0.860
O76 O 0.569 0.065 0.641
O77 O 0.571 0.741 0.259
O78 O 0.572 0.078 0.925
O79 O 0.572 0.602 0.193
O80 O 0.572 0.731 0.976
O81 O 0.575 0.274 0.525
O82 O 0.577 0.924 0.577
O83 O 0.578 0.268 0.242
O84 O 0.581 0.390 0.303
O85 O 0.598 0.088 0.241
O86 O 0.604 0.918 0.257
O87 O 0.607 0.409 0.910
O88 O 0.607 0.585 0.305
O89 O 0.608 0.253 0.639
O90 O 0.608 0.592 0.594
O91 O 0.609 0.751 0.862
O92 O 0.612 0.258 0.923
O93 O 0.614 0.408 0.200
O94 O 0.617 0.745 0.581
O95 O 0.617 0.922 0.973
O96 O 0.618 0.084 0.530
O97 O 0.668 0.821 0.079
O98 O 0.670 0.158 0.745
O99 O 0.673 0.517 0.092
O100 O 0.674 0.484 0.410
O101 O 0.676 0.185 0.421
O102 O 0.683 0.491 0.695
O103 O 0.684 0.515 0.806
O104 O 0.686 0.844 0.755
O105 O 0.691 0.178 0.136
O106 O 0.694 0.845 0.471
O107 O 0.695 0.154 0.033
O108 O 0.697 0.822 0.367
O109 O 0.797 0.651 0.534
O110 O 0.799 0.348 0.969
O111 O 0.801 0.322 0.865
O112 O 0.804 0.676 0.637
O113 O 0.809 0.021 0.306
O114 O 0.809 0.344 0.255
O115 O 0.811 0.993 0.194
O116 O 0.821 0.684 0.921
O117 O 0.821 0.985 0.910
O118 O 0.823 0.653 0.245
O119 O 0.824 0.017 0.592
O120 O 0.827 0.320 0.581
O121 O 0.877 0.247 0.079
O122 O 0.878 0.421 0.473
O123 O 0.879 0.583 0.029
O124 O 0.882 0.908 0.700
O125 O 0.883 0.753 0.137
O126 O 0.885 0.758 0.425
O127 O 0.885 0.910 0.414
O128 O 0.886 0.086 0.805
O129 O 0.887 0.093 0.091
O130 O 0.888 0.251 0.363
O131 O 0.896 0.588 0.741
O132 O 0.897 0.417 0.757
O133 O 0.915 0.890 0.803
O134 O 0.917 0.767 0.742
O135 O 0.919 0.424 0.076
O136 O 0.920 0.773 0.024
O137 O 0.922 0.103 0.693
O138 O 0.923 0.230 0.476
O139 O 0.924 0.577 0.426
O140 O 0.926 0.911 0.089
O141 O 0.927 0.242 0.758
O142 O 0.928 0.436 0.360
O143 O 0.930 0.093 0.412
O144 O 0.930 0.566 0.141
# Energy of formation from the pure elements, meV per atom: -2971
# E, eV/cell: -1694.935
# Volume, A^3/atom: 14.92